Here is Si2MoO6 after structural relaxation from the Materials Project database. Energies are from PBE+U.

magnetic moment: 2.00 μB per formula unit
space group: Pbca
E_form: -2.67 eV per atom
total energy: -7.566 eV per atom

Cell lengths 5.124, 19.328, 10.894 Å; angles 90.00, 90.00, 90.00 degrees
Atoms (fractional coordinates):
Si: 0.123 0.223 0.171
Si: 0.123 0.277 0.671
Si: 0.240 0.027 0.328
Si: 0.240 0.473 0.828
Si: 0.260 0.527 0.328
Si: 0.260 0.973 0.828
Si: 0.377 0.723 0.171
Si: 0.377 0.777 0.671
Si: 0.623 0.223 0.329
Si: 0.623 0.277 0.829
Si: 0.740 0.027 0.172
Si: 0.740 0.473 0.672
Si: 0.760 0.527 0.172
Si: 0.760 0.973 0.672
Si: 0.877 0.723 0.329
Si: 0.877 0.777 0.829
Mo: 0.065 0.626 0.952
Mo: 0.065 0.874 0.452
Mo: 0.435 0.126 0.952
Mo: 0.435 0.374 0.452
Mo: 0.565 0.626 0.548
Mo: 0.565 0.874 0.048
Mo: 0.935 0.126 0.548
Mo: 0.935 0.374 0.048
O: 0.035 0.047 0.218
O: 0.035 0.453 0.718
O: 0.138 0.194 0.642
O: 0.138 0.306 0.142
O: 0.170 0.704 0.280
O: 0.170 0.796 0.780
O: 0.179 0.072 0.451
O: 0.179 0.428 0.951
O: 0.185 0.179 0.047
O: 0.185 0.321 0.547
O: 0.237 0.556 0.854
O: 0.237 0.944 0.354
O: 0.263 0.056 0.854
O: 0.263 0.444 0.354
O: 0.315 0.679 0.047
O: 0.315 0.821 0.547
O: 0.321 0.572 0.451
O: 0.321 0.928 0.951
O: 0.330 0.204 0.280
O: 0.330 0.296 0.780
O: 0.362 0.694 0.642
O: 0.362 0.806 0.142
O: 0.465 0.547 0.218
O: 0.465 0.953 0.718
O: 0.535 0.047 0.282
O: 0.535 0.453 0.782
O: 0.638 0.194 0.858
O: 0.638 0.306 0.358
O: 0.670 0.704 0.220
O: 0.670 0.796 0.720
O: 0.679 0.072 0.049
O: 0.679 0.428 0.549
O: 0.685 0.179 0.453
O: 0.685 0.321 0.953
O: 0.737 0.556 0.646
O: 0.737 0.944 0.146
O: 0.763 0.056 0.646
O: 0.763 0.444 0.146
O: 0.815 0.679 0.453
O: 0.815 0.821 0.953
O: 0.821 0.572 0.049
O: 0.821 0.928 0.549
O: 0.830 0.204 0.220
O: 0.830 0.296 0.720
O: 0.862 0.694 0.858
O: 0.862 0.806 0.358
O: 0.965 0.547 0.282
O: 0.965 0.953 0.782

Here is SiMoO4 after structural relaxation from the Materials Project database. Energies are from PBE+U.

magnetic moment: 2.00 μB per formula unit
space group: Ia-3d
E_form: -2.36 eV per atom
total energy: -7.384 eV per atom

Cell lengths 9.992, 9.992, 9.992 Å; angles 109.47, 109.47, 109.47 degrees
Atoms (fractional coordinates):
Si: 0.125 0.750 0.875
Si: 0.125 0.875 0.250
Si: 0.250 0.125 0.875
Si: 0.250 0.625 0.375
Si: 0.375 0.250 0.625
Si: 0.375 0.625 0.750
Si: 0.625 0.375 0.250
Si: 0.625 0.750 0.375
Si: 0.750 0.375 0.625
Si: 0.750 0.875 0.125
Si: 0.875 0.125 0.750
Si: 0.875 0.250 0.125
Mo: 0.125 0.250 0.375
Mo: 0.125 0.375 0.750
Mo: 0.250 0.375 0.125
Mo: 0.250 0.875 0.625
Mo: 0.375 0.125 0.250
Mo: 0.375 0.750 0.125
Mo: 0.625 0.250 0.875
Mo: 0.625 0.875 0.750
Mo: 0.750 0.125 0.375
Mo: 0.750 0.625 0.875
Mo: 0.875 0.625 0.250
Mo: 0.875 0.750 0.625
O: 0.032 0.225 0.130
O: 0.032 0.307 0.901
O: 0.095 0.725 0.693
O: 0.095 0.870 0.401
O: 0.099 0.630 0.405
O: 0.099 0.968 0.693
O: 0.130 0.032 0.225
O: 0.130 0.599 0.905
O: 0.193 0.225 0.595
O: 0.193 0.468 0.599
O: 0.225 0.130 0.032
O: 0.225 0.595 0.193
O: 0.275 0.307 0.905
O: 0.275 0.468 0.370
O: 0.307 0.901 0.032
O: 0.307 0.905 0.275
O: 0.370 0.275 0.468
O: 0.370 0.595 0.901
O: 0.401 0.095 0.870
O: 0.401 0.807 0.532
O: 0.405 0.099 0.630
O: 0.405 0.807 0.775
O: 0.468 0.370 0.275
O: 0.468 0.599 0.193
O: 0.532 0.401 0.807
O: 0.532 0.630 0.725
O: 0.595 0.193 0.225
O: 0.595 0.901 0.370
O: 0.599 0.193 0.468
O: 0.599 0.905 0.130
O: 0.630 0.405 0.099
O: 0.630 0.725 0.532
O: 0.693 0.095 0.725
O: 0.693 0.099 0.968
O: 0.725 0.532 0.630
O: 0.725 0.693 0.095
O: 0.775 0.405 0.807
O: 0.775 0.870 0.968
O: 0.807 0.532 0.401
O: 0.807 0.775 0.405
O: 0.870 0.401 0.095
O: 0.870 0.968 0.775
O: 0.901 0.032 0.307
O: 0.901 0.370 0.595
O: 0.905 0.130 0.599
O: 0.905 0.275 0.307
O: 0.968 0.693 0.099
O: 0.968 0.775 0.870

Here is Zn3Si4Mo2O14 after structural relaxation from the Materials Project database. Energies are from PBE+U.

magnetic moment: 6.00 μB per formula unit
space group: C2/c
E_form: -2.47 eV per atom
total energy: -6.833 eV per atom

Cell lengths 9.222, 9.222, 10.286 Å; angles 119.10, 119.10, 51.42 degrees
Atoms (fractional coordinates):
Zn: 0.105 0.895 0.750
Zn: 0.207 0.451 0.596
Zn: 0.451 0.207 0.096
Zn: 0.549 0.793 0.904
Zn: 0.793 0.549 0.404
Zn: 0.895 0.105 0.250
Si: 0.016 0.740 0.900
Si: 0.021 0.607 0.293
Si: 0.260 0.984 0.600
Si: 0.393 0.979 0.207
Si: 0.607 0.021 0.793
Si: 0.740 0.016 0.400
Si: 0.979 0.393 0.707
Si: 0.984 0.260 0.100
Mo: 0.289 0.711 0.250
Mo: 0.500 0.500 0.000
Mo: 0.500 0.500 0.500
Mo: 0.711 0.289 0.750
O: 0.009 0.409 0.571
O: 0.015 0.549 0.869
O: 0.021 0.860 0.082
O: 0.140 0.173 0.726
O: 0.140 0.979 0.418
O: 0.173 0.140 0.226
O: 0.198 0.674 0.843
O: 0.231 0.572 0.327
O: 0.326 0.802 0.657
O: 0.392 0.440 0.091
O: 0.409 0.009 0.071
O: 0.428 0.769 0.173
O: 0.440 0.392 0.591
O: 0.451 0.985 0.631
O: 0.549 0.015 0.369
O: 0.560 0.608 0.409
O: 0.572 0.231 0.827
O: 0.591 0.991 0.929
O: 0.608 0.560 0.909
O: 0.674 0.198 0.343
O: 0.769 0.428 0.673
O: 0.802 0.326 0.157
O: 0.827 0.860 0.774
O: 0.860 0.021 0.582
O: 0.860 0.827 0.274
O: 0.979 0.140 0.918
O: 0.985 0.451 0.131
O: 0.991 0.591 0.429

Here is Zn3Si3Mo2O12 after structural relaxation from the Materials Project database. Energies are from PBE+U.

magnetic moment: 6.00 μB per formula unit
space group: Ia-3d
E_form: -2.33 eV per atom
total energy: -6.657 eV per atom

Cell lengths 10.492, 10.492, 10.492 Å; angles 109.47, 109.47, 109.47 degrees
Atoms (fractional coordinates):
Zn: 0.125 0.250 0.375
Zn: 0.125 0.375 0.750
Zn: 0.250 0.375 0.125
Zn: 0.250 0.875 0.625
Zn: 0.375 0.125 0.250
Zn: 0.375 0.750 0.125
Zn: 0.625 0.250 0.875
Zn: 0.625 0.875 0.750
Zn: 0.750 0.125 0.375
Zn: 0.750 0.625 0.875
Zn: 0.875 0.625 0.250
Zn: 0.875 0.750 0.625
Si: 0.125 0.750 0.875
Si: 0.125 0.875 0.250
Si: 0.250 0.125 0.875
Si: 0.250 0.625 0.375
Si: 0.375 0.250 0.625
Si: 0.375 0.625 0.750
Si: 0.625 0.375 0.250
Si: 0.625 0.750 0.375
Si: 0.750 0.375 0.625
Si: 0.750 0.875 0.125
Si: 0.875 0.125 0.750
Si: 0.875 0.250 0.125
Mo: 0.000 0.000 0.000
Mo: 0.000 0.000 0.500
Mo: 0.000 0.500 0.000
Mo: 0.000 0.500 0.500
Mo: 0.500 0.000 0.000
Mo: 0.500 0.000 0.500
Mo: 0.500 0.500 0.000
Mo: 0.500 0.500 0.500
O: 0.021 0.219 0.127
O: 0.021 0.302 0.894
O: 0.092 0.719 0.698
O: 0.092 0.873 0.394
O: 0.106 0.627 0.408
O: 0.106 0.979 0.698
O: 0.127 0.021 0.219
O: 0.127 0.606 0.908
O: 0.198 0.219 0.592
O: 0.198 0.479 0.606
O: 0.219 0.127 0.021
O: 0.219 0.592 0.198
O: 0.281 0.302 0.908
O: 0.281 0.479 0.373
O: 0.302 0.894 0.021
O: 0.302 0.908 0.281
O: 0.373 0.281 0.479
O: 0.373 0.592 0.894
O: 0.394 0.092 0.873
O: 0.394 0.802 0.521
O: 0.408 0.106 0.627
O: 0.408 0.802 0.781
O: 0.479 0.373 0.281
O: 0.479 0.606 0.198
O: 0.521 0.394 0.802
O: 0.521 0.627 0.719
O: 0.592 0.198 0.219
O: 0.592 0.894 0.373
O: 0.606 0.198 0.479
O: 0.606 0.908 0.127
O: 0.627 0.408 0.106
O: 0.627 0.719 0.521
O: 0.698 0.092 0.719
O: 0.698 0.106 0.979
O: 0.719 0.521 0.627
O: 0.719 0.698 0.092
O: 0.781 0.408 0.802
O: 0.781 0.873 0.979
O: 0.802 0.521 0.394
O: 0.802 0.781 0.408
O: 0.873 0.394 0.092
O: 0.873 0.979 0.781
O: 0.894 0.021 0.302
O: 0.894 0.373 0.592
O: 0.908 0.127 0.606
O: 0.908 0.281 0.302
O: 0.979 0.698 0.106
O: 0.979 0.781 0.873

Here is Sm2Mo2O7 after structural relaxation from the Materials Project database. Energies are from PBE+U.

space group: Fd-3m
E_form: -2.88 eV per atom
total energy: -7.841 eV per atom

Cell lengths 7.455, 7.455, 7.455 Å; angles 60.00, 60.00, 60.00 degrees
Atoms (fractional coordinates):
Sm: 0.000 0.000 0.000
Sm: 0.000 0.000 0.500
Sm: 0.000 0.500 0.000
Sm: 0.500 0.000 0.000
Mo: 0.000 0.500 0.500
Mo: 0.500 0.000 0.500
Mo: 0.500 0.500 0.000
Mo: 0.500 0.500 0.500
O: 0.125 0.125 0.125
O: 0.165 0.165 0.585
O: 0.165 0.585 0.165
O: 0.165 0.585 0.585
O: 0.415 0.415 0.835
O: 0.415 0.835 0.415
O: 0.415 0.835 0.835
O: 0.585 0.165 0.165
O: 0.585 0.165 0.585
O: 0.585 0.585 0.165
O: 0.835 0.415 0.415
O: 0.835 0.415 0.835
O: 0.835 0.835 0.415
O: 0.875 0.875 0.875

Here is Sm2MoO6 after structural relaxation from the Materials Project database. Energies are from PBE+U.

space group: C2/c
E_form: -3.14 eV per atom
total energy: -7.882 eV per atom

Cell lengths 10.129, 10.129, 5.522 Å; angles 104.83, 104.83, 68.45 degrees
Atoms (fractional coordinates):
Sm: 0.055 0.286 0.880
Sm: 0.109 0.891 0.750
Sm: 0.286 0.055 0.380
Sm: 0.366 0.634 0.250
Sm: 0.634 0.366 0.750
Sm: 0.714 0.945 0.620
Sm: 0.891 0.109 0.250
Sm: 0.945 0.714 0.120
Mo: 0.203 0.491 0.560
Mo: 0.491 0.203 0.060
Mo: 0.509 0.797 0.940
Mo: 0.797 0.509 0.440
O: 0.070 0.474 0.261
O: 0.075 0.109 0.078
O: 0.109 0.075 0.578
O: 0.163 0.688 0.416
O: 0.174 0.616 0.865
O: 0.212 0.322 0.637
O: 0.312 0.837 0.084
O: 0.322 0.212 0.137
O: 0.384 0.826 0.635
O: 0.386 0.454 0.518
O: 0.454 0.386 0.018
O: 0.474 0.070 0.761
O: 0.526 0.930 0.239
O: 0.546 0.614 0.982
O: 0.614 0.546 0.482
O: 0.616 0.174 0.365
O: 0.678 0.788 0.863
O: 0.688 0.163 0.916
O: 0.788 0.678 0.363
O: 0.826 0.384 0.135
O: 0.837 0.312 0.584
O: 0.891 0.925 0.422
O: 0.925 0.891 0.922
O: 0.930 0.526 0.739

Here is Sm2Mo2O7 after structural relaxation from the Materials Project database. Energies are from PBE+U.

magnetic moment: 3.94 μB per formula unit
space group: Fd-3m
E_form: -2.52 eV per atom
total energy: -7.478 eV per atom

Cell lengths 7.416, 7.416, 7.416 Å; angles 60.00, 60.00, 60.00 degrees
Atoms (fractional coordinates):
Sm: 0.000 0.000 0.000
Sm: 0.000 0.000 0.500
Sm: 0.000 0.500 0.000
Sm: 0.500 0.000 0.000
Mo: 0.000 0.500 0.500
Mo: 0.500 0.000 0.500
Mo: 0.500 0.500 0.000
Mo: 0.500 0.500 0.500
O: 0.134 0.134 0.616
O: 0.134 0.616 0.134
O: 0.134 0.616 0.616
O: 0.375 0.375 0.375
O: 0.384 0.384 0.866
O: 0.384 0.866 0.384
O: 0.384 0.866 0.866
O: 0.616 0.134 0.134
O: 0.616 0.134 0.616
O: 0.616 0.616 0.134
O: 0.625 0.625 0.625
O: 0.866 0.384 0.384
O: 0.866 0.384 0.866
O: 0.866 0.866 0.384